VASP calculation (GGA+U) on crystalline Eu2V2O5 at its relaxed geometry.

a b c (Å): 8.777 8.777 8.777
angles (deg): 54.35 141.54 143.11
Atoms (fractional coordinates):
Eu: 0.021 0.108 0.129
Eu: 0.021 0.392 0.413
Eu: 0.979 0.608 0.587
Eu: 0.979 0.892 0.871
V: 0.475 0.791 0.184
V: 0.493 0.493 0.000
V: 0.493 0.993 0.500
V: 0.607 0.291 0.816
O: 0.020 0.646 0.874
O: 0.413 0.114 0.577
O: 0.413 0.337 0.800
O: 0.500 0.235 0.242
O: 0.500 0.758 0.765
O: 0.537 0.614 0.200
O: 0.537 0.837 0.423
O: 0.771 0.146 0.126
O: 0.993 0.258 0.758
O: 0.993 0.735 0.235

Output
The value obtained for the final energy is -9.1155 eV/atom. The space group is Ima2. The formation energy comes out at -2828 meV/atom.

=====

VASP calculation (GGA+U) on crystalline Eu2VWO6 at its relaxed geometry.

a b c (Å): 5.685 5.685 5.685
angles (deg): 60.00 60.00 60.00
Atoms (fractional coordinates):
Eu: 0.250 0.250 0.250
Eu: 0.750 0.750 0.750
V: 0.000 0.000 0.000
W: 0.500 0.500 0.500
O: 0.257 0.257 0.743
O: 0.257 0.743 0.257
O: 0.257 0.743 0.743
O: 0.743 0.257 0.257
O: 0.743 0.257 0.743
O: 0.743 0.743 0.257

Output
The value obtained for the final energy is -8.9385 eV/atom. The space group is Fm-3m. The formation energy comes out at -2740 meV/atom.

=====

VASP calculation (GGA+U) on crystalline Eu2YVO6 at its relaxed geometry.

a b c (Å): 5.789 5.789 5.789
angles (deg): 60.00 60.00 60.00
Atoms (fractional coordinates):
Eu: 0.250 0.250 0.250
Eu: 0.750 0.750 0.750
Y: 0.000 0.000 0.000
V: 0.500 0.500 0.500
O: 0.267 0.267 0.733
O: 0.267 0.733 0.267
O: 0.267 0.733 0.733
O: 0.733 0.267 0.267
O: 0.733 0.267 0.733
O: 0.733 0.733 0.267

Output
The value obtained for the final energy is -9.1227 eV/atom. The space group is Fm-3m. The formation energy comes out at -3130 meV/atom.

=====

VASP calculation (GGA+U) on crystalline EuWO2 at its relaxed geometry.

a b c (Å): 7.709 7.709 7.709
angles (deg): 130.00 130.00 73.41
Atoms (fractional coordinates):
Eu: 0.000 0.000 0.000
Eu: 0.000 0.000 0.500
Eu: 0.000 0.500 0.000
Eu: 0.500 0.000 0.500
W: 0.000 0.500 0.500
W: 0.500 0.000 0.000
W: 0.500 0.500 0.000
W: 0.500 0.500 0.500
O: 0.203 0.238 0.536
O: 0.203 0.667 0.964
O: 0.238 0.203 0.036
O: 0.333 0.797 0.536
O: 0.667 0.203 0.464
O: 0.762 0.797 0.964
O: 0.797 0.333 0.036
O: 0.797 0.762 0.464

Output
The value obtained for the final energy is -8.5168 eV/atom. The space group is I4_1/amd. The formation energy comes out at -1692 meV/atom.

=====

VASP calculation (GGA+U) on crystalline EuWO5 at its relaxed geometry.

a b c (Å): 5.398 13.044 7.015
angles (deg): 90.00 115.72 90.00
Atoms (fractional coordinates):
Eu: 0.134 0.058 0.289
Eu: 0.134 0.442 0.789
Eu: 0.866 0.558 0.211
Eu: 0.866 0.942 0.711
W: 0.393 0.139 0.846
W: 0.393 0.361 0.346
W: 0.607 0.639 0.654
W: 0.607 0.861 0.154
O: 0.030 0.091 0.578
O: 0.030 0.409 0.078
O: 0.208 0.065 0.974
O: 0.208 0.435 0.474
O: 0.276 0.649 0.426
O: 0.276 0.851 0.926
O: 0.293 0.228 0.289
O: 0.293 0.272 0.789
O: 0.486 0.573 0.840
O: 0.486 0.927 0.340
O: 0.514 0.073 0.660
O: 0.514 0.427 0.160
O: 0.707 0.728 0.211
O: 0.707 0.772 0.711
O: 0.724 0.149 0.074
O: 0.724 0.351 0.574
O: 0.792 0.565 0.526
O: 0.792 0.935 0.026
O: 0.970 0.591 0.922
O: 0.970 0.909 0.422

Output
The value obtained for the final energy is -8.0158 eV/atom. The space group is P2_1/c. The formation energy comes out at -2290 meV/atom.

=====

VASP calculation (GGA+U) on crystalline Eu2W2O5 at its relaxed geometry.

a b c (Å): 4.113 4.113 7.485
angles (deg): 90.00 90.00 90.00
Atoms (fractional coordinates):
Eu: 0.000 0.000 0.000
Eu: 0.000 0.000 0.500
W: 0.500 0.500 0.217
W: 0.500 0.500 0.783
O: 0.000 0.500 0.228
O: 0.000 0.500 0.772
O: 0.500 0.000 0.228
O: 0.500 0.000 0.772
O: 0.500 0.500 0.500

Output
The value obtained for the final energy is -8.6897 eV/atom. The space group is P4/mmm. The formation energy comes out at -2150 meV/atom.

=====

VASP calculation (GGA+U) on crystalline Eu3WO6 at its relaxed geometry.

a b c (Å): 6.044 6.044 6.044
angles (deg): 60.00 60.00 60.00
Atoms (fractional coordinates):
Eu: 0.000 0.000 0.000
Eu: 0.250 0.250 0.250
Eu: 0.750 0.750 0.750
W: 0.500 0.500 0.500
O: 0.271 0.271 0.729
O: 0.271 0.729 0.271
O: 0.271 0.729 0.729
O: 0.729 0.271 0.271
O: 0.729 0.271 0.729
O: 0.729 0.729 0.271

Output
The value obtained for the final energy is -9.3197 eV/atom. The space group is Fm-3m. The formation energy comes out at -2834 meV/atom.

=====

VASP calculation (GGA+U) on crystalline Eu2WO6 at its relaxed geometry.

a b c (Å): 10.155 10.155 5.537
angles (deg): 104.52 104.52 68.23
Atoms (fractional coordinates):
Eu: 0.058 0.290 0.889
Eu: 0.111 0.889 0.750
Eu: 0.290 0.058 0.389
Eu: 0.367 0.633 0.250
Eu: 0.633 0.367 0.750
Eu: 0.710 0.942 0.611
Eu: 0.889 0.111 0.250
Eu: 0.942 0.710 0.111
W: 0.201 0.495 0.563
W: 0.495 0.201 0.063
W: 0.505 0.799 0.937
W: 0.799 0.505 0.437
O: 0.065 0.478 0.263
O: 0.078 0.102 0.071
O: 0.102 0.078 0.571
O: 0.160 0.686 0.424
O: 0.172 0.619 0.871
O: 0.213 0.321 0.635
O: 0.314 0.840 0.076
O: 0.321 0.213 0.135
O: 0.381 0.828 0.629
O: 0.384 0.455 0.513
O: 0.455 0.384 0.013
O: 0.478 0.065 0.763
O: 0.522 0.935 0.237
O: 0.545 0.616 0.987
O: 0.616 0.545 0.487
O: 0.619 0.172 0.371
O: 0.679 0.787 0.865
O: 0.686 0.160 0.924
O: 0.787 0.679 0.365
O: 0.828 0.381 0.129
O: 0.840 0.314 0.576
O: 0.898 0.922 0.429
O: 0.922 0.898 0.929
O: 0.935 0.522 0.737

Output
The value obtained for the final energy is -8.8927 eV/atom. The space group is C2/c. The formation energy comes out at -2826 meV/atom.

=====

VASP calculation (GGA+U) on crystalline Eu2W3O12 at its relaxed geometry.

a b c (Å): 7.028 7.028 11.572
angles (deg): 100.92 100.92 111.56
Atoms (fractional coordinates):
Eu: 0.045 0.287 0.094
Eu: 0.287 0.045 0.594
Eu: 0.713 0.955 0.406
Eu: 0.955 0.713 0.906
W: 0.134 0.866 0.250
W: 0.250 0.459 0.451
W: 0.459 0.250 0.951
W: 0.541 0.750 0.049
W: 0.750 0.541 0.549
W: 0.866 0.134 0.750
O: 0.083 0.662 0.108
O: 0.085 0.184 0.460
O: 0.105 0.456 0.301
O: 0.122 0.209 0.720
O: 0.184 0.085 0.960
O: 0.209 0.122 0.220
O: 0.227 0.660 0.560
O: 0.338 0.917 0.392
O: 0.340 0.773 0.940
O: 0.396 0.472 0.073
O: 0.456 0.105 0.801
O: 0.472 0.396 0.573
O: 0.528 0.604 0.427
O: 0.544 0.895 0.199
O: 0.604 0.528 0.927
O: 0.660 0.227 0.060
O: 0.662 0.083 0.608
O: 0.773 0.340 0.440
O: 0.791 0.878 0.780
O: 0.816 0.915 0.040
O: 0.878 0.791 0.280
O: 0.895 0.544 0.699
O: 0.915 0.816 0.540
O: 0.917 0.338 0.892

Output
The value obtained for the final energy is -8.1940 eV/atom. The space group is C2/c. The formation energy comes out at -2476 meV/atom.